one) Material: MgV2Cd2O7
Method: DFT, GGA+U
State: relaxed

Lattice parameters (Å, degrees): 5.8621 5.8621 5.4656 97.66 97.66 113.88
With the nearest neighbours (Å) after each atom.
Fractional coordinates of all 12 atoms:
Mg1 0.0000 0.0000 0.0000  5 O 2.06-2.14
V1 0.4674 0.0525 0.8863  4 O 1.79-1.92
V2 0.9475 0.5326 0.1137  4 O 1.79-1.92
Cd1 0.5133 0.4867 0.5000  4 O 2.27-2.37
Cd2 0.8711 0.1289 0.5000  6 O 2.30-2.32
O1 0.1271 0.3480 0.2419  1 V 1.92, 1 Mg 2.06
O2 0.2108 0.7892 0.0000  2 V 1.91, 1 Mg 2.07
O3 0.2389 0.1496 0.7425  1 V 1.79
O4 0.6393 0.2456 0.2109  1 V 1.87
O5 0.6520 0.8729 0.7581  1 V 1.92, 1 Mg 2.06
O6 0.7544 0.3607 0.7891  1 V 1.87
O7 0.8504 0.7611 0.2575  1 V 1.79

Values from the calculation:
The size of the total moment comes out at 0.167 μB per atom.


two) Material: MgV2Cd2O7
Method: DFT, GGA+U
State: relaxed

Lattice parameters (Å, degrees): 5.9391 5.9391 5.4604 93.66 93.66 115.02
With the nearest neighbours (Å) after each atom.
Fractional coordinates of all 12 atoms:
Mg1 0.0000 0.0000 0.0000  4 O 2.06-2.21
V1 0.3767 0.3767 0.2749  4 O 1.83-1.91
V2 0.8419 0.8419 0.4993  4 O 1.84-1.94
Cd1 0.3975 0.7640 0.8752  6 O 2.25-2.48
Cd2 0.7640 0.3975 0.8752  6 O 2.25-2.48
O1 0.0292 0.7525 0.7207  1 V 1.84
O2 0.0988 0.0988 0.3730  2 V 1.85-1.91, 1 Mg 2.06
O3 0.1542 0.4347 0.0650  1 V 1.85
O4 0.4347 0.1542 0.0650  1 V 1.85
O5 0.5308 0.5308 0.5787  1 V 1.83
O6 0.6996 0.6996 0.1645  1 V 1.94
O7 0.7525 0.0292 0.7207  1 V 1.84

Values from the calculation:
The size of the total moment comes out at 0.167 μB per atom.


Which is most stable, and by how much? one), by 18 meV per atom.


one) Material: Co2SiO4
Method: DFT, GGA+U
State: relaxed

Lattice parameters (Å, degrees): 5.8059 5.8059 5.8059 60.00 60.00 60.00
With the nearest neighbours (Å) after each atom.
Fractional coordinates of all 14 atoms:
Co1 0.0000 0.0000 0.0000  6 O 2.12
Co2 0.0000 0.0000 0.5000  6 O 2.12
Co3 0.0000 0.5000 0.0000  6 O 2.12
Co4 0.5000 0.0000 0.0000  6 O 2.12
Si1 0.3750 0.3750 0.3750  4 O 1.67
Si2 0.6250 0.6250 0.6250  4 O 1.67
O1 0.2578 0.2578 0.2578  1 Si 1.67
O2 0.2578 0.2578 0.7266  1 Si 1.67
O3 0.2578 0.7266 0.2578  1 Si 1.67
O4 0.2734 0.7422 0.7422  1 Si 1.67
O5 0.7266 0.2578 0.2578  1 Si 1.67
O6 0.7422 0.2734 0.7422  1 Si 1.67
O7 0.7422 0.7422 0.2734  1 Si 1.67
O8 0.7422 0.7422 0.7422  1 Si 1.67

Values from the calculation:
The size of the total moment comes out at 0.857 μB per atom.


two) Material: Co2SiO4
Method: DFT, GGA+U
State: relaxed

Lattice parameters (Å, degrees): 4.8276 6.0644 10.3963 89.80 89.92 89.96
With the nearest neighbours (Å) after each atom.
Fractional coordinates of all 28 atoms:
Co1 0.0000 0.0000 0.0000  6 O 2.11-2.18
Co2 0.0000 0.5000 0.0000  6 O 2.11-2.16
Co3 0.0046 0.2514 0.2747  6 O 2.07-2.25
Co4 0.4933 0.2508 0.7747  6 O 2.08-2.24
Co5 0.5000 0.0000 0.5000  6 O 2.11-2.18
Co6 0.5000 0.5000 0.5000  6 O 2.12-2.15
Co7 0.5067 0.7492 0.2253  6 O 2.08-2.24
Co8 0.9954 0.7486 0.7253  6 O 2.07-2.25
Si1 0.0737 0.7509 0.4069  4 O 1.64-1.67
Si2 0.4268 0.7514 0.9066  4 O 1.64-1.67
Si3 0.5732 0.2486 0.0934  4 O 1.64-1.67
Si4 0.9263 0.2491 0.5931  4 O 1.64-1.67
O1 0.2150 0.7521 0.5539  1 Si 1.67
O2 0.2193 0.9677 0.3367  1 Si 1.66
O3 0.2226 0.5330 0.3398  1 Si 1.66
O4 0.2330 0.2507 0.0928  1 Si 1.64
O5 0.2665 0.2508 0.5928  1 Si 1.64
O6 0.2787 0.5341 0.8389  1 Si 1.66
O7 0.2806 0.9685 0.8370  1 Si 1.66
O8 0.2846 0.7522 0.0536  1 Si 1.67
O9 0.7154 0.2478 0.9464  1 Si 1.67
O10 0.7194 0.0315 0.1630  1 Si 1.66
O11 0.7213 0.4659 0.1611  1 Si 1.66
O12 0.7335 0.7492 0.4072  1 Si 1.64
O13 0.7670 0.7493 0.9072  1 Si 1.64
O14 0.7774 0.4670 0.6602  1 Si 1.66
O15 0.7807 0.0323 0.6633  1 Si 1.66
O16 0.7850 0.2479 0.4461  1 Si 1.67


Which is most stable, and by how much? two), by 64 meV per atom.


one) Material: Li2MnCr3O8
Method: DFT, GGA+U
State: relaxed

Lattice parameters (Å, degrees): 5.8830 5.8830 9.3675 90.00 90.00 120.00
With the nearest neighbours (Å) after each atom.
Fractional coordinates of all 28 atoms:
Li1 0.0000 0.0000 0.0000  4 O 1.75-1.96
Li2 0.0000 0.0000 0.5000  4 O 1.75-1.96
Li3 0.3333 0.6667 0.4011  4 O 1.93-1.98
Li4 0.6667 0.3333 0.9011  4 O 1.93-1.98
Mn1 0.3333 0.6667 0.9868  6 O 1.97-2.02
Mn2 0.6667 0.3333 0.4868  6 O 1.97-2.02
Cr1 0.1696 0.3392 0.7151  6 O 1.95-2.02
Cr2 0.1696 0.8304 0.7151  6 O 1.95-2.02
Cr3 0.3392 0.1696 0.2151  6 O 1.95-2.02
Cr4 0.6608 0.8304 0.7151  6 O 1.95-2.02
Cr5 0.8304 0.1696 0.2151  6 O 1.95-2.02
Cr6 0.8304 0.6608 0.2151  6 O 1.95-2.02
O1 0.0000 0.0000 0.3127  1 Li 1.75, 3 Cr 1.96
O2 0.0000 0.0000 0.8127  1 Li 1.75, 3 Cr 1.96
O3 0.0431 0.5216 0.8486  1 Mn 1.97, 1 Li 1.98, 2 Cr 2.02
O4 0.1669 0.3338 0.1043  1 Li 1.96, 2 Cr 2.00, 1 Mn 2.02
O5 0.1669 0.8331 0.1043  1 Li 1.96, 2 Cr 2.00, 1 Mn 2.02
O6 0.3333 0.6667 0.6073  1 Li 1.93, 3 Cr 1.95
O7 0.3338 0.1669 0.6043  1 Li 1.96, 2 Cr 2.00, 1 Mn 2.02
O8 0.4784 0.5216 0.8486  1 Mn 1.97, 1 Li 1.98, 2 Cr 2.02
O9 0.4784 0.9569 0.8486  1 Mn 1.97, 1 Li 1.98, 2 Cr 2.02
O10 0.5216 0.0431 0.3486  1 Mn 1.97, 1 Li 1.98, 2 Cr 2.02
O11 0.5216 0.4784 0.3486  1 Mn 1.97, 1 Li 1.98, 2 Cr 2.02
O12 0.6662 0.8331 0.1043  1 Li 1.96, 2 Cr 2.00, 1 Mn 2.02
O13 0.6667 0.3333 0.1073  1 Li 1.93, 3 Cr 1.95
O14 0.8331 0.1669 0.6043  1 Li 1.96, 2 Cr 2.00, 1 Mn 2.02
O15 0.8331 0.6662 0.6043  1 Li 1.96, 2 Cr 2.00, 1 Mn 2.02
O16 0.9569 0.4784 0.3486  1 Mn 1.97, 1 Li 1.98, 2 Cr 2.02

Values from the calculation:
The size of the total moment comes out at 0.786 μB per atom.


two) Material: Li2MnCr3O8
Method: DFT, GGA+U
State: relaxed

Lattice parameters (Å, degrees): 8.3387 8.3387 8.4242 90.00 90.00 90.00
With the nearest neighbours (Å) after each atom.
Fractional coordinates of all 56 atoms:
Li1 0.0015 0.2511 0.3766  4 O 1.98-2.02
Li2 0.2489 0.5015 0.1266  4 O 1.98-2.02
Li3 0.2511 0.0015 0.6234  4 O 1.98-2.02
Li4 0.4985 0.7511 0.3734  4 O 1.98-2.02
Li5 0.5015 0.2489 0.8734  4 O 1.98-2.02
Li6 0.7489 0.9985 0.1234  4 O 1.98-2.02
Li7 0.7511 0.4985 0.6266  4 O 1.98-2.02
Li8 0.9985 0.7489 0.8766  4 O 1.98-2.02
Mn1 0.1220 0.8780 0.2500  6 O 1.94-1.96
Mn2 0.3780 0.3780 0.5000  6 O 1.94-1.96
Mn3 0.6220 0.6220 0.0000  6 O 1.94-1.96
Mn4 0.8780 0.1220 0.7500  6 O 1.94-1.96
Cr1 0.1250 0.1250 0.0000  6 O 1.91-2.00
Cr2 0.1278 0.3715 0.7494  6 O 2.01-2.05
Cr3 0.1285 0.6278 0.4994  6 O 2.01-2.05
Cr4 0.3715 0.1278 0.2506  6 O 2.01-2.05
Cr5 0.3722 0.8715 0.0006  6 O 2.01-2.05
Cr6 0.3750 0.6250 0.7500  6 O 1.91-2.00
Cr7 0.6250 0.3750 0.2500  6 O 1.91-2.00
Cr8 0.6278 0.1285 0.5006  6 O 2.01-2.05
Cr9 0.6285 0.8722 0.7506  6 O 2.01-2.05
Cr10 0.8715 0.3722 0.9994  6 O 2.01-2.05
Cr11 0.8722 0.6285 0.2494  6 O 2.01-2.05
Cr12 0.8750 0.8750 0.5000  6 O 1.91-2.00
O1 0.1100 0.8708 0.4820  1 Mn 1.96, 2 Cr 1.97-2.04, 1 Li 2.00
O2 0.1110 0.1311 0.7635  1 Mn 1.95, 1 Li 1.98, 2 Cr 2.00-2.01
O3 0.1123 0.6458 0.2601  1 Mn 1.94, 1 Li 2.00, 2 Cr 2.01-2.03
O4 0.1163 0.3539 0.9889  3 Cr 1.91-2.05, 1 Li 2.02
O5 0.1292 0.8900 0.0180  1 Mn 1.96, 2 Cr 1.97-2.04, 1 Li 2.00
O6 0.1311 0.1110 0.2365  1 Mn 1.95, 1 Li 1.98, 2 Cr 2.00-2.01
O7 0.1458 0.3877 0.5101  1 Mn 1.94, 1 Li 2.00, 2 Cr 2.01-2.03
O8 0.1461 0.6163 0.7389  3 Cr 1.91-2.05, 1 Li 2.02
O9 0.3539 0.1163 0.0111  3 Cr 1.91-2.05, 1 Li 2.02
O10 0.3542 0.8877 0.2399  1 Mn 1.94, 1 Li 2.00, 2 Cr 2.01-2.03
O11 0.3689 0.6110 0.5135  1 Mn 1.95, 1 Li 1.98, 2 Cr 2.00-2.01
O12 0.3708 0.3900 0.7320  1 Mn 1.96, 2 Cr 1.97-2.04, 1 Li 2.00
O13 0.3837 0.8539 0.7611  3 Cr 1.91-2.05, 1 Li 2.02
O14 0.3877 0.1458 0.4899  1 Mn 1.94, 1 Li 2.00, 2 Cr 2.01-2.03
O15 0.3890 0.6311 0.9865  1 Mn 1.95, 1 Li 1.98, 2 Cr 2.00-2.01
O16 0.3900 0.3708 0.2680  1 Mn 1.96, 2 Cr 1.97-2.04, 1 Li 2.00
O17 0.6100 0.6292 0.7680  1 Mn 1.96, 2 Cr 1.97-2.04, 1 Li 2.00
O18 0.6110 0.3689 0.4865  1 Mn 1.95, 1 Li 1.98, 2 Cr 2.00-2.01
O19 0.6123 0.8542 0.9899  1 Mn 1.94, 1 Li 2.00, 2 Cr 2.01-2.03
O20 0.6163 0.1461 0.2611  3 Cr 1.91-2.05, 1 Li 2.02
O21 0.6292 0.6100 0.2320  1 Mn 1.96, 2 Cr 1.97-2.04, 1 Li 2.00
O22 0.6311 0.3890 0.0135  1 Mn 1.95, 1 Li 1.98, 2 Cr 2.00-2.01
O23 0.6458 0.1123 0.7399  1 Mn 1.94, 1 Li 2.00, 2 Cr 2.01-2.03
O24 0.6461 0.8837 0.5111  3 Cr 1.91-2.05, 1 Li 2.02
O25 0.8539 0.3837 0.2389  3 Cr 1.91-2.05, 1 Li 2.02
O26 0.8542 0.6123 0.0101  1 Mn 1.94, 1 Li 2.00, 2 Cr 2.01-2.03
O27 0.8689 0.8890 0.7365  1 Mn 1.95, 1 Li 1.98, 2 Cr 2.00-2.01
O28 0.8708 0.1100 0.5180  1 Mn 1.96, 2 Cr 1.97-2.04, 1 Li 2.00
O29 0.8837 0.6461 0.4889  3 Cr 1.91-2.05, 1 Li 2.02
O30 0.8877 0.3542 0.7601  1 Mn 1.94, 1 Li 2.00, 2 Cr 2.01-2.03
O31 0.8890 0.8689 0.2635  1 Mn 1.95, 1 Li 1.98, 2 Cr 2.00-2.01
O32 0.8900 0.1292 0.9820  1 Mn 1.96, 2 Cr 1.97-2.04, 1 Li 2.00

Values from the calculation:
The size of the total moment comes out at 0.786 μB per atom.


Which is most stable, and by how much? two), by 57 meV per atom.